Record 1
Material: SrCa7Ti3Mn5O20
Method: DFT, PBE with a Hubbard U
State: optimized geometry

```
SrCa7Ti3Mn5O20
1.0
-6.0298 4.8917 1.6385
-4.9801 -6.1511 -0.1234
1.3553 -1.0829 7.7354
O Ti Mn Ca Sr
20 3 5 7 1
direct
0.2319 0.5484 0.0420 O
0.4829 0.7541 0.4501 O
0.5132 0.7935 0.0718 O
0.4907 0.2128 0.0889 O
0.7900 0.0152 0.0783 O
0.4696 0.5175 0.7593 O
0.2251 0.0298 0.5077 O
0.5045 0.2663 0.4856 O
0.0563 0.2334 0.9226 O
0.9991 0.7761 0.4166 O
0.2429 0.4995 0.4834 O
0.9668 0.2338 0.5522 O
0.1653 0.9527 0.0948 O
0.7295 0.5269 0.5050 O
0.9926 0.5447 0.7645 O
0.9789 0.9051 0.7589 O
0.7426 0.4945 0.9846 O
0.5702 0.0080 0.7765 O
0.7572 0.0020 0.4433 O
0.9686 0.4184 0.2381 O
0.5619 0.0067 0.0033 Ti
0.9865 0.9874 0.5313 Ti
0.9979 0.0228 0.9665 Ti
0.4846 0.5141 0.4998 Mn
0.9890 0.4821 0.0074 Mn
0.4866 0.5005 0.0132 Mn
0.9866 0.5102 0.4870 Mn
0.4974 0.0047 0.5190 Mn
0.7339 0.3051 0.7168 Ca
0.2322 0.2838 0.6868 Ca
0.2478 0.7432 0.2732 Ca
0.7328 0.6997 0.7585 Ca
0.7334 0.7549 0.2924 Ca
0.2323 0.6947 0.7712 Ca
0.7364 0.2571 0.2927 Ca
0.2330 0.2504 0.2568 Sr
```

Properties
**DFT formation energy**: -10122 kJ/mol of formula units
**V**: 13.83 A^3/atom
**Energy relative to the lowest polymorph listed for this composition**: 0.518 eV per formula unit


Record 2
Material: VO2F
Method: DFT, PBE with a Hubbard U
State: optimized geometry

```
VO2F
1.0
5.0427 0.0000 0.0000
2.3663 4.6695 0.0000
0.4023 0.0814 12.5234
O F V
12 6 6
direct
0.7974 0.8173 0.0556 O
0.9489 0.5344 0.7808 O
0.2026 0.1827 0.9444 O
0.5150 0.5296 0.2792 O
0.7497 0.3287 0.0810 O
0.8669 0.8632 0.6089 O
0.6038 0.1914 0.4481 O
0.0511 0.4656 0.2192 O
0.3962 0.8086 0.5519 O
0.2503 0.6713 0.9190 O
0.4850 0.4704 0.7208 O
0.1331 0.1368 0.3911 O
0.5911 0.0082 0.2520 F
0.2644 0.8649 0.1155 F
0.9316 0.3389 0.5821 F
0.7356 0.1351 0.8845 F
0.0684 0.6611 0.4179 F
0.4089 0.9918 0.7480 F
0.0000 0.0000 0.5000 V
0.3728 0.3192 0.3400 V
0.6272 0.6808 0.6600 V
0.2744 0.3932 0.8402 V
0.7256 0.6068 0.1598 V
0.0000 0.0000 0.0000 V
```

Properties
**DFT formation energy**: -925 kJ/mol of formula units
**V**: 12.29 A^3/atom